Entry 1:
An optimized crystal structure of Rb2MnF5. Source: Materials Project, functional GGA+U.

Cell lengths 6.184, 6.184, 4.220 Å; angles 90.00, 90.00, 90.00 degrees
Atoms (fractional coordinates):
1 Rb 0.000 0.500 0.000
2 Rb 0.500 0.000 0.000
3 Mn 0.000 0.000 0.500
4 F 0.000 0.000 0.000
5 F 0.218 0.218 0.500
6 F 0.218 0.782 0.500
7 F 0.782 0.218 0.500
8 F 0.782 0.782 0.500

The corrected total energy (MP2020 scheme) is -5.559 eV/atom. The calculation puts the total DFT energy (no corrections) at -5.061 eV/atom. The formation energy from the elements is -2.972 eV/atom. Its space group is No. 123.

Entry 2:
An optimized crystal structure of RbMnF4. Source: Materials Project, functional GGA+U.

Cell lengths 6.165, 7.976, 7.999 Å; angles 90.00, 90.86, 90.00 degrees
Atoms (fractional coordinates):
1 Rb 0.012 0.204 0.253
2 Rb 0.012 0.296 0.753
3 Rb 0.988 0.704 0.247
4 Rb 0.988 0.796 0.747
5 Mn 0.500 0.000 0.000
6 Mn 0.500 0.000 0.500
7 Mn 0.500 0.500 0.000
8 Mn 0.500 0.500 0.500
9 F 0.214 0.550 0.552
10 F 0.214 0.950 0.052
11 F 0.215 0.564 0.955
12 F 0.215 0.936 0.455
13 F 0.405 0.230 0.498
14 F 0.405 0.270 0.998
15 F 0.422 0.514 0.268
16 F 0.422 0.986 0.768
17 F 0.578 0.014 0.232
18 F 0.578 0.486 0.732
19 F 0.595 0.730 0.002
20 F 0.595 0.770 0.502
21 F 0.785 0.064 0.545
22 F 0.785 0.436 0.045
23 F 0.786 0.050 0.948
24 F 0.786 0.450 0.448

The corrected total energy (MP2020 scheme) is -5.913 eV/atom. The calculation puts the total DFT energy (no corrections) at -5.327 eV/atom. The formation energy from the elements is -2.946 eV/atom. Its space group is No. 14.

Entry 3:
An optimized crystal structure of Rb2MnF6. Source: Materials Project, functional GGA+U.

Cell lengths 6.069, 6.069, 9.892 Å; angles 90.00, 90.00, 120.00 degrees
Atoms (fractional coordinates):
1 Rb 0.000 0.000 0.000
2 Rb 0.000 0.000 0.500
3 Rb 0.333 0.667 0.274
4 Rb 0.667 0.333 0.774
5 Mn 0.333 0.667 0.658
6 Mn 0.667 0.333 0.158
7 F 0.048 0.524 0.548
8 F 0.187 0.373 0.761
9 F 0.187 0.813 0.761
10 F 0.373 0.187 0.261
11 F 0.476 0.524 0.548
12 F 0.476 0.952 0.548
13 F 0.524 0.048 0.048
14 F 0.524 0.476 0.048
15 F 0.627 0.813 0.761
16 F 0.813 0.187 0.261
17 F 0.813 0.627 0.261
18 F 0.952 0.476 0.048

The corrected total energy (MP2020 scheme) is -5.408 eV/atom. The calculation puts the total DFT energy (no corrections) at -4.915 eV/atom. The formation energy from the elements is -2.896 eV/atom. Its space group is No. 186.

Entry 4:
An optimized crystal structure of Rb2MnF6. Source: Materials Project, functional GGA+U.

Cell lengths 6.157, 6.157, 6.157 Å; angles 60.00, 60.00, 60.00 degrees
Atoms (fractional coordinates):
1 Rb 0.250 0.250 0.250
2 Rb 0.750 0.750 0.750
3 Mn 0.000 0.000 0.000
4 F 0.212 0.212 0.788
5 F 0.212 0.788 0.212
6 F 0.212 0.788 0.788
7 F 0.788 0.212 0.212
8 F 0.788 0.212 0.788
9 F 0.788 0.788 0.212

The corrected total energy (MP2020 scheme) is -5.413 eV/atom. The calculation puts the total DFT energy (no corrections) at -4.919 eV/atom. The formation energy from the elements is -2.900 eV/atom. Its space group is No. 225.

Entry 5:
An optimized crystal structure of RbZrMnF7. Source: Materials Project, functional GGA+U.

Cell lengths 6.544, 6.544, 8.424 Å; angles 90.00, 90.00, 117.66 degrees
Atoms (fractional coordinates):
1 Rb 0.000 0.000 0.000
2 Rb 0.000 0.000 0.500
3 Zr 0.307 0.693 0.750
4 Zr 0.693 0.307 0.250
5 Mn 0.311 0.689 0.250
6 Mn 0.689 0.311 0.750
7 F 0.033 0.336 0.250
8 F 0.054 0.341 0.750
9 F 0.300 0.700 0.506
10 F 0.300 0.700 0.994
11 F 0.336 0.033 0.750
12 F 0.341 0.054 0.250
13 F 0.493 0.507 0.750
14 F 0.507 0.493 0.250
15 F 0.659 0.946 0.750
16 F 0.664 0.967 0.250
17 F 0.700 0.300 0.006
18 F 0.700 0.300 0.494
19 F 0.946 0.659 0.250
20 F 0.967 0.664 0.750

The corrected total energy (MP2020 scheme) is -6.779 eV/atom. The calculation puts the total DFT energy (no corrections) at -6.289 eV/atom. The formation energy from the elements is -3.570 eV/atom. Its space group is No. 63.

Entry 6:
An optimized crystal structure of MnSb2F12. Source: Materials Project, functional GGA+U.

Cell lengths 5.361, 5.659, 9.263 Å; angles 73.78, 88.70, 62.22 degrees
Atoms (fractional coordinates):
1 Mn 0.000 0.000 0.000
2 Sb 0.274 0.504 0.741
3 Sb 0.726 0.496 0.259
4 F 0.018 0.275 0.422
5 F 0.040 0.721 0.873
6 F 0.099 0.263 0.818
7 F 0.448 0.739 0.074
8 F 0.449 0.734 0.707
9 F 0.479 0.744 0.360
10 F 0.521 0.256 0.640
11 F 0.551 0.266 0.293
12 F 0.552 0.261 0.926
13 F 0.901 0.737 0.182
14 F 0.960 0.279 0.127
15 F 0.982 0.725 0.578

The corrected total energy (MP2020 scheme) is -5.417 eV/atom. The energy above the most stable polymorph in this dataset comes out at 0.000 eV/atom. The calculation puts the total DFT energy (no corrections) at -4.936 eV/atom. The formation energy from the elements is -2.724 eV/atom. Its space group is No. 2.

Entry 7:
An optimized crystal structure of SrMnSbF. Source: Materials Project, functional GGA+U.

Cell lengths 4.452, 4.452, 9.604 Å; angles 90.00, 90.00, 90.00 degrees
Atoms (fractional coordinates):
1 Sr 0.250 0.250 0.133
2 Sr 0.750 0.750 0.867
3 Mn 0.250 0.750 0.500
4 Mn 0.750 0.250 0.500
5 Sb 0.250 0.250 0.688
6 Sb 0.750 0.750 0.312
7 F 0.250 0.750 0.000
8 F 0.750 0.250 0.000

The corrected total energy (MP2020 scheme) is -6.017 eV/atom. The calculation puts the total DFT energy (no corrections) at -5.485 eV/atom. The formation energy from the elements is -1.793 eV/atom. Its space group is No. 129.

Entry 8:
An optimized crystal structure of Sr3MnF12. Source: Materials Project, functional GGA+U.

Cell lengths 8.957, 8.957, 4.567 Å; angles 102.27, 102.27, 126.07 degrees
Atoms (fractional coordinates):
1 Sr 0.000 0.000 0.000
2 Sr 0.000 0.500 0.500
3 Sr 0.500 0.000 0.500
4 Mn 0.500 0.500 0.500
5 F 0.028 0.215 0.491
6 F 0.155 0.664 0.161
7 F 0.215 0.028 0.491
8 F 0.257 0.416 0.227
9 F 0.336 0.845 0.839
10 F 0.416 0.257 0.227
11 F 0.584 0.743 0.773
12 F 0.664 0.155 0.161
13 F 0.743 0.584 0.773
14 F 0.785 0.972 0.509
15 F 0.845 0.336 0.839
16 F 0.972 0.785 0.509

The corrected total energy (MP2020 scheme) is -5.297 eV/atom. The calculation puts the total DFT energy (no corrections) at -4.846 eV/atom. The formation energy from the elements is -2.971 eV/atom. Its space group is No. 12.